TlPPbS4 | PBE-GGA | optimized geometry

Cell: 12.523 6.665 8.947 Å, 90.00 90.00 90.00°
Fractional coordinates of all 28 atoms:
Tl1 0.108 0.250 0.129
Tl2 0.392 0.750 0.629
Tl3 0.608 0.250 0.371
Tl4 0.892 0.750 0.871
P1 0.153 0.750 0.373
P2 0.347 0.250 0.873
P3 0.653 0.750 0.127
P4 0.847 0.250 0.627
Pb1 0.130 0.250 0.605
Pb2 0.370 0.750 0.105
Pb3 0.630 0.250 0.895
Pb4 0.870 0.750 0.395
S1 0.050 0.750 0.195
S2 0.069 0.750 0.572
S3 0.248 0.004 0.863
S4 0.248 0.496 0.863
S5 0.252 0.504 0.363
S6 0.252 0.996 0.363
S7 0.431 0.250 0.072
S8 0.450 0.250 0.695
S9 0.550 0.750 0.305
S10 0.569 0.750 0.928
S11 0.748 0.004 0.637
S12 0.748 0.496 0.637
S13 0.752 0.504 0.137
S14 0.752 0.996 0.137
S15 0.931 0.250 0.428
S16 0.950 0.250 0.805

Properties
- Mass density: 5.1 g/cm³
- Calculated formation energy: -5.09 eV/f.u.
- Total energy after the MP2020 corrections: -4.7325 eV/atom

***

AlSb | PBE-GGA | optimized geometry

Cell: 4.400 4.400 7.221 Å, 90.00 90.00 120.00°
Fractional coordinates of all 4 atoms:
Al1 0.333 0.667 0.000
Al2 0.667 0.333 0.500
Sb1 0.333 0.667 0.375
Sb2 0.667 0.333 0.875

Properties
- Mass density: 4.1 g/cm³
- Calculated formation energy: -0.49 eV/f.u.
- Piezoelectric modulus e_max: 0.1 C/m²
- Total energy after the MP2020 corrections: -4.1845 eV/atom

***

MnAgN | PBE-GGA | optimized geometry

Cell: 4.847 3.086 3.086 Å, 60.24 90.00 90.00°
Fractional coordinates of all 3 atoms:
Mn1 0.000 0.000 0.000
Ag1 0.500 0.333 0.333
N1 0.000 0.334 0.334

Properties
- Mass density: 7.3 g/cm³
- Energy relative to the lowest polymorph listed for this composition: 82 meV/atom
- Calculated formation energy: 0.14 eV/f.u.
- Total energy after the MP2020 corrections: -6.7310 eV/atom

***

- The lowest total energy after the MP2020 corrections belongs to which entry?
  MnAgN

***

- Number 1 is which compound?
  TlPPbS4